The following is a PBE+U calculation of an optimized crystal structure of FeBiO3, from the Materials Project database.

a = 4.8798 Å, b = 5.3053 Å, c = 5.3053 Å
α = 90.00°, β = 90.00°, γ = 90.00°
Element x y z (fractional)
O1 0.3304 0.7500 0.2500
O2 0.3304 0.7500 0.7500
O3 0.3304 0.2500 0.2500
O4 0.3304 0.2500 0.7500
O5 0.8563 0.5000 0.0000
O6 0.8563 0.0000 0.5000
Bi1 0.0487 0.5000 0.5000
Bi2 0.0487 0.0000 0.0000
Fe1 0.4762 0.5000 0.0000
Fe2 0.4762 0.0000 0.5000

ΔH_f (0 K) ... -1.648 eV per atom
Magnetization ... 0.00 μB per cell



The following is a PBE+U calculation of an optimized crystal structure of Li2FeF4, from the Materials Project database.

a = 3.2574 Å, b = 8.6292 Å, c = 8.6115 Å
α = 90.00°, β = 90.00°, γ = 90.00°
Element x y z (fractional)
Li1 0.0000 0.0041 0.0000
Li2 0.0000 0.4795 0.5246
Li3 0.0000 0.5205 0.0246
Li4 0.0000 0.9959 0.5000
Fe1 0.5000 0.2505 0.7711
Fe2 0.5000 0.7495 0.2711
F1 0.0000 0.1382 0.6560
F2 0.0000 0.3646 0.8826
F3 0.0000 0.6354 0.3826
F4 0.0000 0.8618 0.1560
F5 0.5000 0.0799 0.9365
F6 0.5000 0.4161 0.6001
F7 0.5000 0.5839 0.1001
F8 0.5000 0.9201 0.4365

ΔH_f (0 K) ... -2.853 eV per atom
Magnetization ... 8.00 μB per cell
Distance to the lowest polymorph of the same formula ... 4.5 kJ/mol of atoms



The following is a PBE+U calculation of an optimized crystal structure of Al2Cr2O7, from the Materials Project database.

a = 6.4387 Å, b = 6.6293 Å, c = 6.8043 Å
α = 62.87°, β = 62.65°, γ = 61.52°
Element x y z (fractional)
Al1 0.0000 0.0000 0.0000
Al2 0.0000 0.0000 0.5000
Al3 0.0000 0.5000 0.0000
Al4 0.5000 0.0000 0.0000
Cr1 0.0000 0.5000 0.5000
Cr2 0.5000 0.0000 0.5000
Cr3 0.5000 0.5000 0.0000
Cr4 0.5000 0.5000 0.5000
O1 0.0826 0.6292 0.1406
O2 0.1240 0.0707 0.1770
O3 0.1566 0.1988 0.4835
O4 0.2850 0.5415 0.4012
O5 0.3426 0.8113 0.5144
O6 0.3461 0.3738 0.8573
O7 0.3830 0.8911 0.8497
O8 0.6170 0.1089 0.1503
O9 0.6539 0.6262 0.1427
O10 0.6574 0.1887 0.4856
O11 0.7150 0.4585 0.5988
O12 0.8434 0.8012 0.5165
O13 0.8760 0.9293 0.8230
O14 0.9174 0.3708 0.8594

ΔH_f (0 K) ... -2.293 eV per atom
Magnetization ... 4.00 μB per cell
Distance to the lowest polymorph of the same formula ... 0.0 kJ/mol of atoms



The following is a PBE+U calculation of an optimized crystal structure of SrFeNi2P3O12, from the Materials Project database.

a = 9.0868 Å, b = 9.0868 Å, c = 9.0868 Å
α = 109.45°, β = 85.95°, γ = 137.54°
Element x y z (fractional)
Sr1 0.3433 0.0933 0.2500
Sr2 0.6567 0.9067 0.7500
Fe1 0.0000 0.5000 0.5000
Fe2 0.5000 0.5000 0.0000
Ni1 0.1164 0.0000 0.6165
Ni2 0.1164 0.5000 0.1164
Ni3 0.8836 0.0000 0.3836
Ni4 0.8836 0.5000 0.8836
P1 0.1621 0.4121 0.7500
P2 0.3218 0.0000 0.8218
P3 0.3218 0.5000 0.3218
P4 0.6782 0.0000 0.1782
P5 0.6782 0.5000 0.6782
P6 0.8379 0.5879 0.2500
O1 0.0167 0.1488 0.6321
O2 0.0167 0.3846 0.8679
O3 0.2013 0.5689 0.3560
O4 0.2013 0.8453 0.6324
O5 0.2025 0.2777 0.3473
O6 0.2025 0.8552 0.9248
O7 0.2049 0.5489 0.6560
O8 0.2870 0.1547 0.8560
O9 0.2870 0.4311 0.1324
O10 0.3929 0.5489 0.8440
O11 0.4304 0.2777 0.5752
O12 0.4304 0.8552 0.1527
O13 0.5696 0.1448 0.8473
O14 0.5696 0.7223 0.4248
O15 0.6071 0.4511 0.1560
O16 0.7130 0.5689 0.8676
O17 0.7130 0.8453 0.1440
O18 0.7951 0.4511 0.3440
O19 0.7975 0.1448 0.0752
O20 0.7975 0.7223 0.6527
O21 0.7987 0.1547 0.3676
O22 0.7987 0.4311 0.6440
O23 0.9833 0.6154 0.1321
O24 0.9833 0.8512 0.3679

ΔH_f (0 K) ... -2.491 eV per atom



The following is a PBE+U calculation of an optimized crystal structure of Li5Mn2P3O12, from the Materials Project database.

a = 8.5062 Å, b = 8.5334 Å, c = 9.4069 Å
α = 63.17°, β = 63.55°, γ = 60.94°
Element x y z (fractional)
Li1 0.0242 0.2679 0.3270
Li2 0.2088 0.2382 0.5778
Li3 0.2409 0.0451 0.8663
Li4 0.3156 0.1470 0.1219
Li5 0.3456 0.5769 0.3454
Li6 0.6544 0.4231 0.6546
Li7 0.6844 0.8530 0.8781
Li8 0.7591 0.9549 0.1337
Li9 0.7912 0.7618 0.4222
Li10 0.9758 0.7321 0.6730
Mn1 0.1405 0.6424 0.0512
Mn2 0.3541 0.8416 0.4643
Mn3 0.6459 0.1584 0.5357
Mn4 0.8595 0.3576 0.9488
P1 0.0511 0.9555 0.2459
P2 0.2612 0.4424 0.7375
P3 0.4511 0.2512 0.2423
P4 0.5489 0.7488 0.7577
P5 0.7388 0.5576 0.2625
P6 0.9489 0.0445 0.7541
O1 0.0525 0.0894 0.0666
O2 0.1493 0.7499 0.2433
O3 0.1525 0.3277 0.7522
O4 0.1532 0.0195 0.6336
O5 0.1551 0.0132 0.3065
O6 0.1577 0.5296 0.8790
O7 0.2478 0.6110 0.5708
O8 0.2528 0.3510 0.2094
O9 0.3939 0.6924 0.9059
O10 0.4257 0.2896 0.4004
O11 0.4668 0.3108 0.7336
O12 0.4982 0.0378 0.2732
O13 0.5018 0.9622 0.7268
O14 0.5332 0.6892 0.2664
O15 0.5743 0.7104 0.5996
O16 0.6061 0.3076 0.0941
O17 0.7472 0.6490 0.7906
O18 0.7522 0.3890 0.4292
O19 0.8423 0.4704 0.1210
O20 0.8449 0.9868 0.6935
O21 0.8468 0.9805 0.3664
O22 0.8475 0.6723 0.2478
O23 0.8507 0.2501 0.7567
O24 0.9475 0.9106 0.9334

ΔH_f (0 K) ... -2.587 eV per atom
Magnetization ... 20.00 μB per cell
Distance to the lowest polymorph of the same formula ... 5.0 kJ/mol of atoms



The following is a PBE+U calculation of an optimized crystal structure of CaFeSeO, from the Materials Project database.

a = 6.0342 Å, b = 3.9373 Å, c = 13.4944 Å
α = 90.00°, β = 90.00°, γ = 90.00°
Element x y z (fractional)
Ca1 0.2489 0.2500 0.0816
Ca2 0.2511 0.7500 0.5816
Ca3 0.7489 0.2500 0.4184
Ca4 0.7511 0.7500 0.9184
Fe1 0.1124 0.2500 0.7944
Fe2 0.3876 0.7500 0.2944
Fe3 0.6124 0.2500 0.7056
Fe4 0.8876 0.7500 0.2056
Se1 0.2423 0.2500 0.4056
Se2 0.2577 0.7500 0.9056
Se3 0.7423 0.2500 0.0944
Se4 0.7577 0.7500 0.5944
O1 0.2073 0.7500 0.1726
O2 0.2927 0.2500 0.6726
O3 0.7073 0.7500 0.3274
O4 0.7927 0.2500 0.8274

ΔH_f (0 K) ... -1.763 eV per atom
Magnetization ... 16.00 μB per cell



The following is a PBE+U calculation of an optimized crystal structure of MgW4O6, from the Materials Project database.

a = 5.6367 Å, b = 5.6367 Å, c = 16.7218 Å
α = 90.00°, β = 90.00°, γ = 146.68°
Element x y z (fractional)
Mg1 0.1717 0.8283 0.7500
Mg2 0.8283 0.1717 0.2500
W1 0.1257 0.8743 0.1377
W2 0.1257 0.8743 0.3623
W3 0.3716 0.6284 0.0532
W4 0.3716 0.6284 0.4468
W5 0.6284 0.3716 0.5532
W6 0.6284 0.3716 0.9468
W7 0.8743 0.1257 0.6377
W8 0.8743 0.1257 0.8623
O1 0.0000 0.0000 0.0000
O2 0.0000 0.0000 0.5000
O3 0.2154 0.7846 0.2500
O4 0.2202 0.7798 0.6264
O5 0.2202 0.7798 0.8736
O6 0.4989 0.5011 0.1530
O7 0.4989 0.5011 0.3470
O8 0.5011 0.4989 0.6530
O9 0.5011 0.4989 0.8470
O10 0.7798 0.2202 0.1264
O11 0.7798 0.2202 0.3736
O12 0.7846 0.2154 0.7500

ΔH_f (0 K) ... -1.194 eV per atom
Magnetization ... 0.15 μB per cell



The following is a PBE+U calculation of an optimized crystal structure of Li3Mn4B4O12, from the Materials Project database.

a = 5.2176 Å, b = 5.8915 Å, c = 9.1694 Å
α = 76.25°, β = 89.88°, γ = 67.59°
Element x y z (fractional)
Li1 0.0000 0.0000 0.0000
Li2 0.0108 0.6347 0.8802
Li3 0.5002 0.6677 0.3744
Mn1 0.0212 0.5709 0.5688
Mn2 0.4736 0.0742 0.7957
Mn3 0.5342 0.5627 0.0635
Mn4 0.9678 0.0834 0.3127
B1 0.0225 0.5801 0.2305
B2 0.4778 0.0627 0.1377
B3 0.5298 0.5760 0.7211
B4 0.9865 0.0551 0.6508
O1 0.1130 0.6178 0.0878
O2 0.1292 0.6423 0.3478
O3 0.1522 0.1972 0.6143
O4 0.3084 0.4948 0.7481
O5 0.3755 0.0310 0.2743
O6 0.3777 0.9986 0.0175
O7 0.6323 0.6468 0.8351
O8 0.6340 0.5862 0.5838
O9 0.6958 0.1498 0.1153
O10 0.8051 0.4953 0.2562
O11 0.8964 0.0151 0.7915
O12 0.9378 0.9403 0.5426

ΔH_f (0 K) ... -2.467 eV per atom
Magnetization ... 19.00 μB per cell
Distance to the lowest polymorph of the same formula ... 0.6 kJ/mol of atoms